Material: Na5Cu3As4O16
Method: DFT, GGA-PBE
State: optimized geometry

Calculated values
- DFT total energy (eV per atom) = -5.456
- total energy after the MP2020 corrections (eV per atom) = -5.849
- energy relative to the elements (eV/atom) = -1.6803

a b c (Å): 5.3616 8.6975 9.4683
angles (deg): 63.20 89.13 74.65
Space group P-1 (No. 2)
Unique sites:
Na1 0.0000 0.0000 0.0000 (multiplicity 1)
Na2 0.2942 0.4550 0.2599 (multiplicity 2)
Na3 0.3423 0.3557 0.6370 (multiplicity 2)
Cu1 0.1599 0.7473 0.7902 (multiplicity 2)
Cu2 0.5000 0.0000 0.5000 (multiplicity 1)
As1 0.0612 0.8235 0.4273 (multiplicity 2)
As2 0.2622 0.3075 0.9794 (multiplicity 2)
O1 0.0253 0.0120 0.2470 (multiplicity 2)
O2 0.0732 0.6685 0.0026 (multiplicity 2)
O3 0.2157 0.6382 0.4062 (multiplicity 2)
O4 0.2335 0.2021 0.5003 (multiplicity 2)
O5 0.2534 0.8399 0.5698 (multiplicity 2)
O6 0.2685 0.5114 0.8094 (multiplicity 2)
O7 0.3546 0.1664 0.8976 (multiplicity 2)
O8 0.4225 0.2593 0.1534 (multiplicity 2)